# LiAlH8C16O8F36 | Materials Project | GGA-PBE | optimized geometry
# - Energy of formation: -1.77 eV per atom
# - E_tot: -5.582 eV per atom
# - Space-group type: No. 82
# - Total moment: 0.00 μB/cell
data_LiAlH8C16O8F36
_symmetry_space_group_name_H-M 'P 1'
_symmetry_Int_Tables_number 1
_cell_length_a 10.6362
_cell_length_b 10.6362
_cell_length_c 10.6362
_cell_angle_alpha 101.22
_cell_angle_beta 101.22
_cell_angle_gamma 127.66
loop_
_symmetry_equiv_pos_as_xyz
'x,y,z'
loop_
_atom_site_label
_atom_site_type_symbol
_atom_site_fract_x
_atom_site_fract_y
_atom_site_fract_z
F1 F 0.3123 0.6118 0.2148
F2 F 0.3955 0.2982 0.8818
O1 O 0.0352 0.0137 0.8466
C1 C 0.0855 0.0662 0.6457
C2 C 0.3174 0.1310 0.8529
C3 C 0.1152 0.0059 0.7648
C4 C 0.6545 0.9620 0.7765
O2 O 0.9713 0.3946 0.6519
F3 F 0.7018 0.5837 0.0974
C5 C 0.6496 0.8848 0.8907
F4 F 0.5260 0.6151 0.4182
C6 C 0.1219 0.3455 0.3075
F5 F 0.1396 0.3716 0.0238
F6 F 0.6891 0.9024 0.6754
H1 H 0.0335 0.5087 0.7224
C7 C 0.5602 0.9145 0.9806
H2 H 0.0581 0.3915 0.6419
C8 C 0.0380 0.8145 0.6925
H3 H 0.6889 0.9665 0.4752
F7 F 0.2270 0.0136 0.3246
F8 F 0.0607 0.6055 0.9820
O3 O 0.8114 0.9648 0.9785
F9 F 0.5077 0.4070 0.3002
C9 C 0.4204 0.4398 0.3543
C10 C 0.2411 0.3504 0.2352
F10 F 0.8842 0.8604 0.2320
F11 F 0.3849 0.8031 0.9109
F12 F 0.9213 0.9393 0.5448
F13 F 0.8629 0.6979 0.6440
F14 F 0.1068 0.2075 0.6998
C11 C 0.9338 0.5796 0.0194
F15 F 0.6284 0.6523 0.7680
F16 F 0.6235 0.0787 0.0180
F17 F 0.0976 0.7730 0.7866
F18 F 0.7925 0.4923 0.8993
H4 H 0.7496 0.4163 0.3581
F19 F 0.3970 0.0975 0.7852
F20 F 0.4163 0.5137 0.1182
F21 F 0.3945 0.3765 0.4552
H5 H 0.5837 0.9419 0.3334
C12 C 0.8690 0.7219 0.1864
F22 F 0.3477 0.1158 0.9762
F23 F 0.0538 0.2189 0.3560
Li1 Li 0.7500 0.2500 0.5000
O4 O 0.9863 0.8329 0.0215
F24 F 0.2083 0.4979 0.4166
F25 F 0.5021 0.9187 0.7104
H6 H 0.4913 0.2138 0.5248
F26 F 0.1969 0.1078 0.5818
F27 F 0.9864 0.3109 0.2134
C13 C 0.9941 0.7589 0.1093
O5 O 0.1671 0.1886 0.1534
F28 F 0.9025 0.6877 0.2995
O6 O 0.6054 0.2573 0.5767
F29 F 0.5930 0.8932 0.1007
F30 F 0.0813 0.7917 0.5834
F31 F 0.7811 0.1371 0.8349
H7 H 0.7862 0.3111 0.2776
H8 H 0.6085 0.2504 0.6666
F32 F 0.3021 0.9462 0.1651
F33 F 0.4863 0.6045 0.9026
C14 C 0.5355 0.6826 0.8136
F34 F 0.2083 0.7917 0.2896
Al1 Al 0.0000 0.0000 0.0000
O7 O 0.7427 0.3194 0.3481
O8 O 0.6806 0.0287 0.4233
F35 F 0.3882 0.6030 0.7005
C15 C 0.1855 0.8781 0.2235
F36 F 0.8922 0.4740 0.0891
C16 C 0.2781 0.4645 0.1471